a | ! SrMgFe2Se4O12 GGA+U relaxed; values from VASP
&SYSTEM
  ibrav = 0, nat = 20, ntyp = 5
/
ATOMIC_SPECIES
Sr 87.62 Sr.upf
Mg 24.30 Mg.upf
O 16.00 O.upf
Fe 55.84 Fe.upf
Se 78.96 Se.upf
CELL_PARAMETERS angstrom
-5.604 -0.229 -0.489
-0.558 -1.570 7.121
-0.405 7.283 1.230
ATOMIC_POSITIONS angstrom
Sr -3.291 2.623 4.071
Mg -0.488 4.898 3.305
O -2.161 1.550 6.146
Fe -0.740 1.957 7.559
O -3.299 6.284 2.460
O -4.671 1.448 5.927
Se -3.418 0.411 6.564
O -4.978 4.764 4.566
Se -0.755 5.343 6.148
O -3.264 -0.816 5.369
O -1.677 0.876 3.150
O -0.145 1.506 0.962
Se -0.221 0.485 2.305
O -0.802 4.091 7.269
O -4.574 0.758 2.897
O -4.495 3.960 1.805
Se -3.150 5.023 1.343
O -1.893 4.890 4.836
Fe -3.087 -0.778 3.328
O -1.825 4.069 2.038
! SG ... Pm

b | ! SrMgFe2Se4O12 GGA+U relaxed; values from VASP
&SYSTEM
  ibrav = 0, nat = 20, ntyp = 5
/
ATOMIC_SPECIES
O 16.00 O.upf
Se 78.96 Se.upf
Fe 55.84 Fe.upf
Mg 24.30 Mg.upf
Sr 87.62 Sr.upf
CELL_PARAMETERS angstrom
-3.716 -0.144 -4.643
0.039 -7.311 0.196
-5.324 0.368 4.250
ATOMIC_POSITIONS angstrom
O -4.754 -3.941 2.323
O -4.247 -3.147 -2.519
Se -4.655 -4.796 3.876
Fe -2.662 0.184 2.125
O -5.835 -1.324 -0.806
O -3.167 -5.764 0.610
O -2.097 -3.064 0.168
O -4.831 -5.828 -1.470
O -2.164 -5.620 -1.904
O -4.171 -1.259 1.274
Mg -2.643 -3.472 2.223
O -6.838 -1.468 1.708
O -6.905 -4.024 -0.364
O -1.155 -0.598 0.943
Se -0.630 -2.147 0.571
Se -3.308 -6.519 -0.961
O -4.131 -6.345 3.504
Fe -1.839 -3.728 -2.223
Sr -4.501 -3.544 -0.098
Se -5.694 -0.569 0.765
! SG ... P2/m

Of them, the most stable is a and the least stable is b.

a | ! SrMg14FeO16 GGA+U relaxed; values from VASP
&SYSTEM
  ibrav = 0, nat = 32, ntyp = 4
/
ATOMIC_SPECIES
O 16.00 O.upf
Mg 24.30 Mg.upf
Sr 87.62 Sr.upf
Fe 55.84 Fe.upf
CELL_PARAMETERS angstrom
8.693 0.000 0.000
0.000 8.633 0.000
0.000 0.000 4.418
ATOMIC_POSITIONS angstrom
O 2.275 0.000 0.000
Mg 6.436 4.316 2.209
O 0.000 0.000 2.209
O 4.347 0.000 2.209
O 6.335 4.316 0.000
Mg 4.347 0.000 0.000
Mg 2.174 0.000 2.209
Sr 0.000 4.316 0.000
Mg 2.257 4.316 2.209
O 4.347 6.500 0.000
O 0.000 4.316 2.209
O 4.347 2.133 0.000
O 6.419 0.000 0.000
Mg 4.347 6.492 2.209
Mg 6.454 6.527 0.000
O 6.528 2.158 2.209
O 6.528 6.475 2.209
Mg 6.519 0.000 2.209
O 2.358 4.316 0.000
O 2.166 2.158 2.209
Mg 4.347 2.141 2.209
Mg 4.347 4.316 0.000
O 2.166 6.475 2.209
Mg 0.000 6.557 2.209
O 0.000 6.647 0.000
Fe 0.000 0.000 0.000
Mg 0.000 2.075 2.209
Mg 2.239 2.105 0.000
Mg 6.454 2.105 0.000
Mg 2.239 6.527 0.000
O 0.000 1.986 0.000
O 4.347 4.316 2.209
! SG ... Pmmm

b | ! SrMg14FeO16 GGA+U relaxed; values from VASP
&SYSTEM
  ibrav = 0, nat = 32, ntyp = 4
/
ATOMIC_SPECIES
O 16.00 O.upf
Mg 24.30 Mg.upf
Fe 55.84 Fe.upf
Sr 87.62 Sr.upf
CELL_PARAMETERS angstrom
8.665 0.000 0.000
0.000 8.665 0.000
0.000 0.000 4.397
ATOMIC_POSITIONS angstrom
O 4.333 1.981 0.000
Mg 2.118 6.547 0.000
Fe 0.000 0.000 0.000
O 0.000 4.333 2.198
O 6.507 6.507 2.198
O 0.000 0.000 2.198
Mg 4.333 6.586 2.198
O 6.685 4.333 0.000
O 4.333 0.000 2.198
Mg 6.547 6.547 0.000
Mg 4.333 0.000 0.000
Mg 4.333 2.079 2.198
Mg 2.118 2.118 0.000
O 4.333 6.685 0.000
Mg 6.514 0.000 2.198
O 2.158 6.507 2.198
O 2.158 2.158 2.198
O 6.507 2.158 2.198
Mg 0.000 2.151 2.198
O 0.000 2.162 0.000
Mg 2.079 4.333 2.198
Mg 2.151 0.000 2.198
Mg 6.586 4.333 2.198
O 4.333 4.333 2.198
O 1.981 4.333 0.000
Mg 0.000 4.333 0.000
Mg 6.547 2.118 0.000
Mg 0.000 6.514 2.198
O 0.000 6.503 0.000
O 6.503 0.000 0.000
O 2.162 0.000 0.000
Sr 4.333 4.333 0.000
! SG ... P4/mmm

Of them, the most stable is a and the least stable is b.

a | ! Sr4MgFe4O11 GGA+U relaxed; values from VASP
&SYSTEM
  ibrav = 0, nat = 20, ntyp = 4
/
ATOMIC_SPECIES
Fe 55.84 Fe.upf
O 16.00 O.upf
Mg 24.30 Mg.upf
Sr 87.62 Sr.upf
CELL_PARAMETERS angstrom
-3.110 4.841 -2.210
-5.926 -3.320 -0.059
1.360 2.855 6.401
ATOMIC_POSITIONS angstrom
Fe -4.166 0.607 -0.934
O -5.496 4.422 4.128
O -2.647 0.002 0.185
O -5.410 0.629 0.557
Mg -1.946 1.759 3.325
O -3.963 2.703 -0.925
Sr -5.899 2.023 5.028
Sr -3.335 5.744 3.193
Sr -4.352 -1.521 1.690
Fe -3.492 -0.370 4.784
Sr -4.191 2.539 1.599
O -1.039 1.839 1.563
O -2.293 -0.214 3.137
Fe -7.019 0.712 1.689
O -5.276 -0.394 4.159
Fe -4.274 4.691 -0.660
O -3.371 1.723 4.738
O -2.577 4.541 0.598
O -2.268 3.633 3.361
O -6.481 2.391 2.500
! SG ... P1

b | ! Sr4MgFe4O11 GGA+U relaxed; values from VASP
&SYSTEM
  ibrav = 0, nat = 20, ntyp = 4
/
ATOMIC_SPECIES
O 16.00 O.upf
Sr 87.62 Sr.upf
Fe 55.84 Fe.upf
Mg 24.30 Mg.upf
CELL_PARAMETERS angstrom
5.577 0.000 0.007
-0.002 6.717 -2.165
0.008 0.203 6.937
ATOMIC_POSITIONS angstrom
O 4.245 6.248 2.601
Sr 5.582 2.356 4.879
Fe 5.582 5.070 3.513
O 1.370 4.543 4.800
Fe 2.790 6.819 1.307
O 0.003 3.461 2.385
Sr 0.004 4.564 -0.100
O 2.774 4.870 0.314
Fe 2.796 3.561 5.858
Sr 2.787 6.717 -2.162
Mg 5.578 6.819 1.310
O 1.361 2.371 -0.035
Sr 2.792 3.459 2.388
O 4.253 0.654 2.172
O 1.329 6.270 2.608
O 4.214 2.377 -0.022
O 1.336 0.672 2.179
Fe 5.579 1.850 1.272
O 4.224 4.549 4.814
O 2.809 2.051 4.464
! SG ... P-1

Of them, the most stable is a and the least stable is b.

a | ! Sr4MgFe4O11 GGA+U relaxed; values from VASP
&SYSTEM
  ibrav = 0, nat = 20, ntyp = 4
/
ATOMIC_SPECIES
O 16.00 O.upf
Fe 55.84 Fe.upf
Mg 24.30 Mg.upf
Sr 87.62 Sr.upf
CELL_PARAMETERS angstrom
5.615 -0.098 0.014
-0.123 6.671 -2.035
0.012 0.373 7.032
ATOMIC_POSITIONS angstrom
O 3.992 6.123 2.842
O 1.127 5.103 5.146
O 2.711 4.676 0.636
O 4.360 2.208 -0.051
O 1.443 0.688 2.214
Fe 2.765 3.431 -0.930
Mg 2.565 4.891 3.779
Sr 0.188 1.990 4.766
Sr 5.512 4.969 0.246
O 5.539 3.367 2.593
O 4.014 5.011 5.202
O 1.440 2.247 -0.052
O 4.266 0.605 2.239
O 2.612 2.896 4.396
O 1.294 6.225 2.774
Fe 2.702 6.452 1.330
Fe 5.444 5.088 3.694
Fe 0.051 1.841 1.334
Sr 2.860 0.223 0.087
Sr 2.925 2.700 2.041
! SG ... P1

b | ! Sr4MgFe4O11 GGA+U relaxed; values from VASP
&SYSTEM
  ibrav = 0, nat = 20, ntyp = 4
/
ATOMIC_SPECIES
Sr 87.62 Sr.upf
Fe 55.84 Fe.upf
O 16.00 O.upf
Mg 24.30 Mg.upf
CELL_PARAMETERS angstrom
-0.492 5.013 -2.408
-7.080 -0.322 0.786
3.253 3.009 5.587
ATOMIC_POSITIONS angstrom
Sr -4.367 5.724 -0.131
Fe -1.581 5.687 -0.779
O -1.763 1.395 3.255
O -2.326 6.380 3.867
O -4.355 3.129 0.968
Fe -3.403 6.967 2.256
Mg -6.001 0.035 1.284
O 0.055 4.708 -0.099
Sr 0.126 7.171 1.955
O -2.068 3.740 5.125
O -2.321 1.372 0.246
O 0.044 4.566 3.004
O 0.307 2.073 1.172
Sr 2.715 5.424 4.246
O -4.417 2.844 3.736
Sr -2.130 3.858 1.997
O -4.663 5.454 2.470
O -2.581 3.993 -0.998
Fe -5.734 3.633 2.271
Fe -3.904 2.349 -0.775
! SG ... Cm

Of them, the most stable is a and the least stable is b.

a | ! Sr2MgTiFeO6 GGA+U relaxed; values from VASP
&SYSTEM
  ibrav = 0, nat = 11, ntyp = 5
/
ATOMIC_SPECIES
O 16.00 O.upf
Sr 87.62 Sr.upf
Ti 47.87 Ti.upf
Mg 24.30 Mg.upf
Fe 55.84 Fe.upf
CELL_PARAMETERS angstrom
-4.406 -4.408 -0.256
-4.408 -0.254 -4.414
-0.253 -4.411 -4.415
ATOMIC_POSITIONS angstrom
O -6.361 -4.459 -4.466
Sr -6.356 -6.359 -6.364
O -4.454 -4.458 -6.370
O -2.362 -4.268 -4.273
Ti -4.460 -4.463 -4.469
Mg -8.382 -8.386 -8.396
O -4.266 -2.364 -4.274
O -4.455 -6.363 -4.466
O -4.267 -4.269 -2.371
Fe -0.790 -0.790 -0.791
Sr -2.532 -2.534 -2.538
! SG ... Cm

b | ! Sr2MgTiFeO6 GGA+U relaxed; values from VASP
&SYSTEM
  ibrav = 0, nat = 11, ntyp = 5
/
ATOMIC_SPECIES
O 16.00 O.upf
Fe 55.84 Fe.upf
Mg 24.30 Mg.upf
Sr 87.62 Sr.upf
Ti 47.87 Ti.upf
CELL_PARAMETERS angstrom
-4.009 -4.009 0.000
-4.001 -0.008 -4.668
-0.008 -4.001 -4.668
ATOMIC_POSITIONS angstrom
O -2.041 -3.993 -4.668
O -4.009 -4.009 -6.700
O -4.009 -4.009 -2.637
O -5.976 -4.024 -4.668
Fe 0.000 0.000 0.000
Mg -2.004 -2.004 -4.668
O -3.993 -2.041 -4.668
O -4.024 -5.976 -4.668
Sr -6.013 -6.013 -7.633
Ti -4.009 -4.009 -4.668
Sr -2.004 -2.004 -1.703
! SG ... Immm

Of them, the most stable is a and the least stable is b.

a | ! MgTa2Fe2O8 GGA+U relaxed; values from VASP
&SYSTEM
  ibrav = 0, nat = 13, ntyp = 4
/
ATOMIC_SPECIES
O 16.00 O.upf
Ta 180.95 Ta.upf
Mg 24.30 Mg.upf
Fe 55.84 Fe.upf
CELL_PARAMETERS angstrom
-0.012 5.026 3.148
-0.109 5.048 -3.179
-4.825 0.075 -3.245
ATOMIC_POSITIONS angstrom
O -1.208 5.869 -1.896
Ta -4.503 5.070 0.077
Mg -2.686 4.981 -3.153
O -3.373 1.583 -3.065
O -1.425 3.435 -3.020
O -3.719 4.186 -1.519
O -3.658 6.700 -3.346
Ta -2.310 2.541 -1.423
O -1.396 3.506 -0.110
Fe -2.438 7.545 -1.627
Fe -0.539 5.342 -0.016
O -3.749 4.233 -4.804
O -1.143 0.922 -1.316
! SG ... P1

b | ! MgTa2Fe2O8 GGA+U relaxed; values from VASP
&SYSTEM
  ibrav = 0, nat = 13, ntyp = 4
/
ATOMIC_SPECIES
O 16.00 O.upf
Fe 55.84 Fe.upf
Mg 24.30 Mg.upf
Ta 180.95 Ta.upf
CELL_PARAMETERS angstrom
3.237 -4.497 -2.551
4.145 1.224 -4.656
3.319 3.792 3.450
ATOMIC_POSITIONS angstrom
O 3.545 2.958 1.085
Fe 7.200 -0.498 -3.658
O 5.523 0.742 0.204
Mg 3.762 0.319 -2.535
O 5.142 -0.140 -3.948
O 7.289 1.529 -2.733
O 6.050 3.914 -0.820
O 3.436 -0.626 -0.853
Ta 6.616 -0.889 0.284
Ta 3.466 1.004 0.142
O 4.699 -3.328 -2.914
O 3.800 1.995 -1.514
Fe 7.067 1.849 -0.816
! SG ... P1

c | ! MgTa2Fe2O8 GGA+U relaxed; values from VASP
&SYSTEM
  ibrav = 0, nat = 13, ntyp = 4
/
ATOMIC_SPECIES
Fe 55.84 Fe.upf
O 16.00 O.upf
Ta 180.95 Ta.upf
Mg 24.30 Mg.upf
CELL_PARAMETERS angstrom
-5.922 -2.573 -2.110
4.435 0.592 5.111
-1.692 5.858 3.029
ATOMIC_POSITIONS angstrom
Fe -4.197 -0.759 -0.057
O 2.303 5.606 7.365
Ta 3.079 1.516 5.049
Fe 1.018 4.635 6.087
O -0.986 3.781 4.530
Mg -1.589 1.938 3.015
O -4.771 3.025 2.156
O -2.193 0.095 1.499
O -5.482 -1.729 -1.335
O 1.592 0.852 3.874
O -5.739 0.679 0.128
Ta -6.258 2.361 0.981
O 2.560 3.197 5.902
! SG ... C2/m

Of them, the most stable is a and the least stable is b.